# Sr6Sn12Pt11

An optimized crystal structure of Sr6Sn12Pt11 (PBE-GGA, the Materials Project database).

Cell and atoms, written as CIF:
```
data_Sr6Sn12Pt11
_symmetry_space_group_name_H-M 'I b a m'
_symmetry_Int_Tables_number 72
_symmetry_space_group_name_Hall '-I 2 2c'
_cell_length_a 6.675
_cell_length_b 20.996
_cell_length_c 20.066
_cell_angle_alpha 90.00
_cell_angle_beta 90.00
_cell_angle_gamma 90.00
loop_
_atom_site_label
_atom_site_type_symbol
_atom_site_fract_x
_atom_site_fract_y
_atom_site_fract_z
_atom_site_occupancy
Sr1 Sr 0.233 0.122 0.000 1
Sr2 Sr 0.237 0.377 0.165 1
Sn1 Sn 0.000 0.251 0.250 1
Sn2 Sn 0.011 0.250 0.417 1
Sn3 Sn 0.213 0.445 0.000 1
Sn4 Sn 0.215 0.056 0.175 1
Pt1 Pt 0.000 0.000 0.077 1
Pt2 Pt 0.000 0.500 0.101 1
Pt3 Pt 0.000 0.500 0.250 1
Pt4 Pt 0.237 0.316 0.000 1
Pt5 Pt 0.243 0.184 0.167 1
```

Output
M_tot: 0.0 μB/f.u.
Crystal system: orthorhombic
Formation energy from the elements: -788 meV per atom

***

# UGa5Ir

An optimized crystal structure of UGa5Ir (PBE-GGA, the Materials Project database).

Cell and atoms, written as CIF:
```
data_UGa5Ir
_symmetry_space_group_name_H-M 'P 4/m m m'
_symmetry_Int_Tables_number 123
_symmetry_space_group_name_Hall '-P 4 2'
_cell_length_a 4.348
_cell_length_b 4.348
_cell_length_c 6.746
_cell_angle_alpha 90.00
_cell_angle_beta 90.00
_cell_angle_gamma 90.00
loop_
_atom_site_label
_atom_site_type_symbol
_atom_site_fract_x
_atom_site_fract_y
_atom_site_fract_z
_atom_site_occupancy
U1 U 0.000 0.000 0.000 1
Ga1 Ga 0.000 0.500 0.297 1
Ga2 Ga 0.500 0.500 0.000 1
Ir1 Ir 0.000 0.000 0.500 1
```

Output
Crystal system: tetragonal
Formation energy from the elements: -439 meV per atom

***

# Nd9Al5S21

An optimized crystal structure of Nd9Al5S21 (PBE-GGA, the Materials Project database).

Cell and atoms, written as CIF:
```
data_Nd9Al5S21
_symmetry_space_group_name_H-M 'R 3'
_symmetry_Int_Tables_number 146
_symmetry_space_group_name_Hall 'R 3'
_cell_length_a 17.3207
_cell_length_b 17.3207
_cell_length_c 18.4473
_cell_angle_alpha 90.00
_cell_angle_beta 90.00
_cell_angle_gamma 120.00
loop_
_atom_site_label
_atom_site_type_symbol
_atom_site_fract_x
_atom_site_fract_y
_atom_site_fract_z
_atom_site_occupancy
Nd1 Nd 0.0240 0.8275 0.0000 1
Nd2 Nd 0.0296 0.8245 0.3209 1
Nd3 Nd 0.0341 0.8296 0.6617 1
Nd4 Nd 0.1578 0.4622 0.4863 1
Nd5 Nd 0.1600 0.4642 0.8309 1
Nd6 Nd 0.1637 0.4673 0.1653 1
Al1 Al 0.0000 0.0000 0.2195 1
Al2 Al 0.0000 0.0000 0.4005 1
Al3 Al 0.0000 0.0000 0.7193 1
Al4 Al 0.0000 0.0000 0.9009 1
Al5 Al 0.0022 0.3403 0.6869 1
Al6 Al 0.0057 0.6695 0.5202 1
S1 S 0.0000 0.3326 0.8990 1
S2 S 0.0016 0.6672 0.3989 1
S3 S 0.0121 0.4581 0.4015 1
S4 S 0.0157 0.8908 0.4623 1
S5 S 0.0159 0.8967 0.8038 1
S6 S 0.0185 0.8893 0.1527 1
S7 S 0.0213 0.4656 0.7402 1
S8 S 0.0273 0.4607 0.0682 1
S9 S 0.1191 0.0164 0.3045 1
S10 S 0.1239 0.0127 0.9622 1
S11 S 0.1235 0.7789 0.9045 1
S12 S 0.1279 0.7668 0.2364 1
S13 S 0.1302 0.0206 0.6521 1
S14 S 0.1327 0.7781 0.5690 1
```

Output
MP2020-corrected energy: -1317.815 eV per cell
Crystal system: trigonal
Formation energy from the elements: -2032 meV per atom

***

# Hf5FeTe3

An optimized crystal structure of Hf5FeTe3 (PBE-GGA, the Materials Project database).

Cell and atoms, written as CIF:
```
data_Hf5FeTe3
_symmetry_space_group_name_H-M 'P n m a'
_symmetry_Int_Tables_number 62
_symmetry_space_group_name_Hall '-P 2ac 2n'
_cell_length_a 18.077
_cell_length_b 3.671
_cell_length_c 13.378
_cell_angle_alpha 90.00
_cell_angle_beta 90.00
_cell_angle_gamma 90.00
loop_
_atom_site_label
_atom_site_type_symbol
_atom_site_fract_x
_atom_site_fract_y
_atom_site_fract_z
_atom_site_occupancy
Hf1 Hf 0.043 0.250 0.070 1
Hf2 Hf 0.089 0.250 0.850 1
Hf3 Hf 0.123 0.750 0.225 1
Hf4 Hf 0.210 0.250 0.060 1
Hf5 Hf 0.243 0.750 0.860 1
Fe1 Fe 0.130 0.750 0.978 1
Te1 Te 0.001 0.750 0.714 1
Te2 Te 0.148 0.750 0.443 1
Te3 Te 0.206 0.250 0.694 1
```

Output
MP2020-corrected energy: -296.492 eV per cell
Crystal system: orthorhombic
Formation energy from the elements: -715 meV per atom

***

# Ag10Te4Br3

An optimized crystal structure of Ag10Te4Br3 (PBE-GGA, the Materials Project database).

Cell and atoms, written as CIF:
```
data_Ag10Te4Br3
_symmetry_space_group_name_H-M 'C m c 21'
_symmetry_Int_Tables_number 36
_symmetry_space_group_name_Hall 'C 2c -2'
_cell_length_a 15.654
_cell_length_b 15.981
_cell_length_c 13.915
_cell_angle_alpha 90.00
_cell_angle_beta 90.00
_cell_angle_gamma 90.00
loop_
_atom_site_label
_atom_site_type_symbol
_atom_site_fract_x
_atom_site_fract_y
_atom_site_fract_z
_atom_site_occupancy
Ag1 Ag 0.000 0.126 0.000 1
Ag2 Ag 0.000 0.354 0.018 1
Ag3 Ag 0.092 0.474 0.522 1
Ag4 Ag 0.095 0.230 0.640 1
Ag5 Ag 0.095 0.431 0.830 1
Ag6 Ag 0.100 0.248 0.879 1
Ag7 Ag 0.107 0.405 0.185 1
Ag8 Ag 0.121 0.021 0.113 1
Ag9 Ag 0.122 0.264 0.378 1
Ag10 Ag 0.124 0.228 0.106 1
Ag11 Ag 0.142 0.044 0.898 1
Te1 Te 0.000 0.119 0.799 1
Te2 Te 0.000 0.131 0.200 1
Te3 Te 0.000 0.381 0.665 1
Te4 Te 0.000 0.391 0.346 1
Te5 Te 0.092 0.116 0.486 1
Te6 Te 0.179 0.370 0.998 1
Br1 Br 0.233 0.370 0.500 1
Br2 Br 0.245 0.250 0.747 1
Br3 Br 0.248 0.001 0.247 1
```

Output
M_tot: 0.0 μB/f.u.
Polymorph energy (0 for the lowest one): 2 meV per atom
MP2020-corrected energy: -403.355 eV per cell
Crystal system: orthorhombic
Formation energy from the elements: -271 meV per atom

***

# TmUTe4

An optimized crystal structure of TmUTe4 (PBE-GGA, the Materials Project database).

Cell and atoms, written as CIF:
```
data_TmUTe4
_symmetry_space_group_name_H-M 'I m m 2'
_symmetry_Int_Tables_number 44
_symmetry_space_group_name_Hall 'I 2 -2'
_cell_length_a 4.190
_cell_length_b 6.097
_cell_length_c 14.100
_cell_angle_alpha 90.00
_cell_angle_beta 90.00
_cell_angle_gamma 90.00
loop_
_atom_site_label
_atom_site_type_symbol
_atom_site_fract_x
_atom_site_fract_y
_atom_site_fract_z
_atom_site_occupancy
Tm1 Tm 0.000 0.000 0.000 1
U1 U 0.000 0.000 0.275 1
Te1 Te 0.000 0.252 0.640 1
Te2 Te 0.000 0.500 0.344 1
Te3 Te 0.000 0.500 0.934 1
```

Output
MP2020-corrected energy: -71.057 eV per cell
Crystal system: orthorhombic
Formation energy from the elements: -1198 meV per atom

***

# NbP4O12

An optimized crystal structure of NbP4O12 (PBE-GGA, the Materials Project database).

Cell and atoms, written as CIF:
```
data_NbP4O12
_symmetry_space_group_name_H-M 'C 1 2/c 1'
_symmetry_Int_Tables_number 15
_symmetry_space_group_name_Hall '-C 2yc'
_cell_length_a 11.917
_cell_length_b 8.442
_cell_length_c 10.338
_cell_angle_alpha 90.00
_cell_angle_beta 119.93
_cell_angle_gamma 90.00
loop_
_atom_site_label
_atom_site_type_symbol
_atom_site_fract_x
_atom_site_fract_y
_atom_site_fract_z
_atom_site_occupancy
Nb1 Nb 0.000 0.059 0.250 1
P1 P 0.009 0.264 0.979 1
P2 P 0.199 0.487 0.199 1
O1 O 0.033 0.126 0.905 1
O2 O 0.034 0.236 0.409 1
O3 O 0.087 0.381 0.649 1
O4 O 0.141 0.364 0.059 1
O5 O 0.188 0.063 0.314 1
O6 O 0.229 0.419 0.342 1
```

Output
M_tot: 1.0 μB/f.u.
Polymorph energy (0 for the lowest one): 9 meV per atom
MP2020-corrected energy: -541.121 eV per cell
Crystal system: monoclinic
Formation energy from the elements: -2597 meV per atom

***

# RbHSO2

An optimized crystal structure of RbHSO2 (PBE-GGA, the Materials Project database).

Cell and atoms, written as CIF:
```
data_RbHSO2
_symmetry_space_group_name_H-M 'C 1 2/m 1'
_symmetry_Int_Tables_number 12
_symmetry_space_group_name_Hall '-C 2y'
_cell_length_a 10.696
_cell_length_b 5.993
_cell_length_c 11.670
_cell_angle_alpha 90.00
_cell_angle_beta 103.62
_cell_angle_gamma 90.00
loop_
_atom_site_label
_atom_site_type_symbol
_atom_site_fract_x
_atom_site_fract_y
_atom_site_fract_z
_atom_site_occupancy
Rb1 Rb 0.150 0.000 0.418 1
Rb2 Rb 0.248 0.500 0.178 1
H1 H 0.067 0.000 0.095 1
H2 H 0.220 0.000 0.138 1
S1 S 0.040 0.500 0.684 1
S2 S 0.084 0.500 0.866 1
O1 O 0.096 0.295 0.644 1
O2 O 0.103 0.500 0.357 1
O3 O 0.137 0.000 0.165 1
```

Output
M_tot: 0.0 μB/f.u.
MP2020-corrected energy: -211.973 eV per cell
Crystal system: monoclinic
Formation energy from the elements: -1618 meV per atom

***

# CeGeBi2

An optimized crystal structure of CeGeBi2 (PBE-GGA, the Materials Project database).

Cell and atoms, written as CIF:
```
data_CeGeBi2
_symmetry_space_group_name_H-M 'I 4/m m m'
_symmetry_Int_Tables_number 139
_symmetry_space_group_name_Hall '-I 4 2'
_cell_length_a 4.633
_cell_length_b 4.633
_cell_length_c 20.074
_cell_angle_alpha 90.00
_cell_angle_beta 90.00
_cell_angle_gamma 90.00
loop_
_atom_site_label
_atom_site_type_symbol
_atom_site_fract_x
_atom_site_fract_y
_atom_site_fract_z
_atom_site_occupancy
Ce1 Ce 0.000 0.000 0.119 1
Ge1 Ge 0.000 0.000 0.381 1
Bi1 Bi 0.000 0.500 0.000 1
Bi2 Bi 0.000 0.500 0.250 1
```

Output
M_tot: 0.0 μB/f.u.
Crystal system: tetragonal
Formation energy from the elements: -386 meV per atom

***

# CaMgGe

An optimized crystal structure of CaMgGe (PBE-GGA, the Materials Project database).

Cell and atoms, written as CIF:
```
data_CaMgGe
_symmetry_space_group_name_H-M 'P n m a'
_symmetry_Int_Tables_number 62
_symmetry_space_group_name_Hall '-P 2ac 2n'
_cell_length_a 7.536
_cell_length_b 4.461
_cell_length_c 8.419
_cell_angle_alpha 90.00
_cell_angle_beta 90.00
_cell_angle_gamma 90.00
loop_
_atom_site_label
_atom_site_type_symbol
_atom_site_fract_x
_atom_site_fract_y
_atom_site_fract_z
_atom_site_occupancy
Ca1 Ca 0.020 0.250 0.180 1
Mg1 Mg 0.143 0.250 0.562 1
Ge1 Ge 0.232 0.750 0.383 1
```

Output
Crystal system: orthorhombic
Formation energy from the elements: -568 meV per atom